No. 1
CaNb5P9O36: relaxed, GGA-PBE.

a = 8.8691 Å, b = 8.8691 Å, c = 22.8620 Å
α = 90.00°, β = 90.00°, γ = 120.00°
Space group P3c1 (No. 158)
Asymmetric unit:
Ca  0.0000  0.0000  0.0000 (multiplicity 2)
Nb  0.0000  0.0000  0.2854 (multiplicity 2)
Nb  0.3333  0.6667  0.1655 (multiplicity 2)
Nb  0.3333  0.6667  0.4489 (multiplicity 2)
Nb  0.6667  0.3333  0.1130 (multiplicity 2)
Nb  0.6667  0.3333  0.3271 (multiplicity 2)
P  0.9997  0.2887  0.3894 (multiplicity 6)
P  0.0508  0.3946  0.0582 (multiplicity 6)
P  0.3801  0.0533  0.7214 (multiplicity 6)
O  0.0313  0.2195  0.0565 (multiplicity 6)
O  0.0325  0.1994  0.3351 (multiplicity 6)
O  0.1316  0.4862  0.7132 (multiplicity 6)
O  0.1373  0.5085  0.0027 (multiplicity 6)
O  0.1566  0.4935  0.1137 (multiplicity 6)
O  0.1671  0.4710  0.3977 (multiplicity 6)
O  0.1991  0.0333  0.7339 (multiplicity 6)
O  0.2320  0.0514  0.4431 (multiplicity 6)
O  0.4633  0.1689  0.6672 (multiplicity 6)
O  0.4745  0.1495  0.3707 (multiplicity 6)
O  0.4979  0.1376  0.7748 (multiplicity 6)
O  0.5173  0.1294  0.0663 (multiplicity 6)

Values from the calculation:
Formation enthalpy at 0 K ... -2.89 eV per atom

***

No. 2
Ca2Nb4P6S3O36: relaxed, GGA-PBE.

a = 8.9639 Å, b = 8.9639 Å, c = 22.8140 Å
α = 90.00°, β = 90.00°, γ = 120.00°
Space group P3c1 (No. 158)
Asymmetric unit:
Ca  0.0000  0.0000  0.0000 (multiplicity 2)
Ca  0.3333  0.6667  0.1803 (multiplicity 2)
Nb  0.0000  0.0000  0.2911 (multiplicity 2)
Nb  0.3333  0.6667  0.4541 (multiplicity 2)
Nb  0.6667  0.3333  0.1248 (multiplicity 2)
Nb  0.6667  0.3333  0.3363 (multiplicity 2)
P  0.0032  0.2924  0.3955 (multiplicity 6)
P  0.3763  0.0663  0.7305 (multiplicity 6)
S  0.0402  0.3917  0.0630 (multiplicity 6)
O  0.0034  0.2180  0.0534 (multiplicity 6)
O  0.0414  0.2050  0.3427 (multiplicity 6)
O  0.1072  0.4651  0.7265 (multiplicity 6)
O  0.1271  0.5035  0.0093 (multiplicity 6)
O  0.1425  0.4695  0.1147 (multiplicity 6)
O  0.1729  0.4728  0.4063 (multiplicity 6)
O  0.1995  0.0580  0.7396 (multiplicity 6)
O  0.2339  0.0470  0.4497 (multiplicity 6)
O  0.4650  0.1816  0.6743 (multiplicity 6)
O  0.4767  0.1373  0.3788 (multiplicity 6)
O  0.4868  0.1648  0.7839 (multiplicity 6)
O  0.5213  0.1313  0.0692 (multiplicity 6)

Values from the calculation:
Formation enthalpy at 0 K ... -2.70 eV per atom

***

No. 3
Ca4Nb2S9O36: relaxed, GGA-PBE.

a = 9.1972 Å, b = 9.1972 Å, c = 23.4910 Å
α = 90.00°, β = 90.00°, γ = 120.00°
Space group P3c1 (No. 158)
Asymmetric unit:
Ca  0.0000  0.0000  0.0000 (multiplicity 2)
Ca  0.0000  0.0000  0.2136 (multiplicity 2)
Ca  0.3333  0.6667  0.3804 (multiplicity 2)
Ca  0.6667  0.3333  0.0496 (multiplicity 2)
Nb  0.3333  0.6667  0.1714 (multiplicity 2)
Nb  0.6667  0.3333  0.3366 (multiplicity 2)
S  0.0131  0.3036  0.1102 (multiplicity 6)
S  0.0368  0.3857  0.7740 (multiplicity 6)
S  0.3821  0.0546  0.4377 (multiplicity 6)
O  0.0058  0.2188  0.7616 (multiplicity 6)
O  0.0558  0.2434  0.0587 (multiplicity 6)
O  0.1076  0.4747  0.4275 (multiplicity 6)
O  0.1240  0.5032  0.7234 (multiplicity 6)
O  0.1381  0.4574  0.8244 (multiplicity 6)
O  0.1751  0.4794  0.1250 (multiplicity 6)
O  0.2130  0.0133  0.1599 (multiplicity 6)
O  0.2220  0.0518  0.4377 (multiplicity 6)
O  0.4636  0.1208  0.1028 (multiplicity 6)
O  0.4822  0.1690  0.3839 (multiplicity 6)
O  0.4844  0.1343  0.4878 (multiplicity 6)
O  0.5102  0.1329  0.7813 (multiplicity 6)

Values from the calculation:
Formation enthalpy at 0 K ... -2.36 eV per atom

***

No. 4
Ca2Nb2SiS5O24: relaxed, GGA-PBE.

a = 9.123 Å, b = 9.132 Å, c = 23.212 Å
α = 89.75°, β = 89.84°, γ = 60.06°
Space group P1 (No. 1)
Asymmetric unit:
Ca  0.000  0.000  0.000 (multiplicity 1)
Ca  0.002  0.010  0.508 (multiplicity 1)
Ca  0.331  0.335  0.168 (multiplicity 1)
Ca  0.667  0.667  0.830 (multiplicity 1)
Ca  0.670  0.666  0.338 (multiplicity 1)
Ca  0.672  0.659  0.553 (multiplicity 1)
Nb  0.327  0.335  0.382 (multiplicity 1)
Nb  0.337  0.338  0.671 (multiplicity 1)
Nb  0.343  0.334  0.884 (multiplicity 1)
Nb  0.672  0.666  0.052 (multiplicity 1)
Nb  0.991  0.018  0.718 (multiplicity 1)
Nb  0.998  0.992  0.215 (multiplicity 1)
Si  0.003  0.295  0.612 (multiplicity 1)
Si  0.623  0.321  0.777 (multiplicity 1)
Si  0.992  0.719  0.109 (multiplicity 1)
S  0.055  0.315  0.277 (multiplicity 1)
S  0.068  0.619  0.778 (multiplicity 1)
S  0.279  0.716  0.617 (multiplicity 1)
S  0.295  0.981  0.111 (multiplicity 1)
S  0.316  0.067  0.778 (multiplicity 1)
S  0.319  0.630  0.277 (multiplicity 1)
S  0.375  0.968  0.441 (multiplicity 1)
S  0.390  0.652  0.943 (multiplicity 1)
S  0.631  0.055  0.277 (multiplicity 1)
S  0.644  0.962  0.944 (multiplicity 1)
S  0.654  0.374  0.441 (multiplicity 1)
S  0.709  0.007  0.616 (multiplicity 1)
S  0.727  0.295  0.111 (multiplicity 1)
S  0.957  0.398  0.944 (multiplicity 1)
S  0.967  0.664  0.442 (multiplicity 1)
O  0.006  0.813  0.055 (multiplicity 1)
O  0.011  0.794  0.449 (multiplicity 1)
O  0.050  0.153  0.269 (multiplicity 1)
O  0.057  0.169  0.560 (multiplicity 1)
O  0.062  0.783  0.772 (multiplicity 1)
O  0.124  0.393  0.937 (multiplicity 1)
O  0.124  0.533  0.124 (multiplicity 1)
O  0.128  0.346  0.226 (multiplicity 1)
O  0.144  0.496  0.427 (multiplicity 1)
O  0.149  0.511  0.727 (multiplicity 1)
O  0.155  0.805  0.268 (multiplicity 1)
O  0.164  0.044  0.772 (multiplicity 1)
O  0.171  0.290  0.328 (multiplicity 1)
O  0.172  0.312  0.633 (multiplicity 1)
O  0.177  0.530  0.831 (multiplicity 1)
O  0.179  0.773  0.565 (multiplicity 1)
O  0.184  0.819  0.668 (multiplicity 1)
O  0.190  0.021  0.060 (multiplicity 1)
O  0.201  0.005  0.446 (multiplicity 1)
O  0.211  0.952  0.163 (multiplicity 1)
O  0.219  0.788  0.951 (multiplicity 1)
O  0.283  0.177  0.831 (multiplicity 1)
O  0.284  0.549  0.327 (multiplicity 1)
O  0.306  0.537  0.628 (multiplicity 1)
O  0.332  0.154  0.727 (multiplicity 1)
O  0.344  0.105  0.124 (multiplicity 1)
O  0.347  0.532  0.225 (multiplicity 1)
O  0.360  0.148  0.428 (multiplicity 1)
O  0.376  0.488  0.934 (multiplicity 1)
O  0.445  0.700  0.614 (multiplicity 1)
O  0.452  0.668  0.289 (multiplicity 1)
O  0.459  0.869  0.390 (multiplicity 1)
O  0.460  0.812  0.099 (multiplicity 1)
O  0.467  0.673  0.892 (multiplicity 1)
O  0.467  0.905  0.785 (multiplicity 1)
O  0.474  0.132  0.936 (multiplicity 1)
O  0.475  0.908  0.494 (multiplicity 1)
O  0.490  0.364  0.425 (multiplicity 1)
O  0.498  0.618  0.995 (multiplicity 1)
O  0.499  0.333  0.726 (multiplicity 1)
O  0.524  0.290  0.836 (multiplicity 1)
O  0.534  0.123  0.224 (multiplicity 1)
O  0.535  0.162  0.627 (multiplicity 1)
O  0.545  0.169  0.327 (multiplicity 1)
O  0.557  0.329  0.124 (multiplicity 1)
O  0.609  0.478  0.493 (multiplicity 1)
O  0.615  0.878  0.996 (multiplicity 1)
O  0.642  0.480  0.784 (multiplicity 1)
O  0.672  0.862  0.893 (multiplicity 1)
O  0.674  0.882  0.289 (multiplicity 1)
O  0.682  0.452  0.391 (multiplicity 1)
O  0.687  0.860  0.614 (multiplicity 1)
O  0.716  0.468  0.102 (multiplicity 1)
O  0.773  0.007  0.954 (multiplicity 1)
O  0.774  0.043  0.565 (multiplicity 1)
O  0.786  0.200  0.449 (multiplicity 1)
O  0.798  0.199  0.060 (multiplicity 1)
O  0.802  0.054  0.268 (multiplicity 1)
O  0.803  0.717  0.097 (multiplicity 1)
O  0.808  0.144  0.768 (multiplicity 1)
O  0.820  0.987  0.668 (multiplicity 1)
O  0.839  0.474  0.613 (multiplicity 1)
O  0.842  0.214  0.163 (multiplicity 1)
O  0.853  0.474  0.894 (multiplicity 1)
O  0.866  0.512  0.997 (multiplicity 1)
O  0.866  0.687  0.391 (multiplicity 1)
O  0.886  0.452  0.289 (multiplicity 1)
O  0.902  0.640  0.785 (multiplicity 1)
O  0.907  0.620  0.494 (multiplicity 1)
O  0.959  0.854  0.167 (multiplicity 1)
O  0.987  0.179  0.671 (multiplicity 1)
O  0.988  0.230  0.957 (multiplicity 1)

Values from the calculation:
Formation enthalpy at 0 K ... -2.42 eV per atom

***

No. 5
Ca2Nb2SbO8: relaxed, GGA-PBE.

a = 5.499 Å, b = 6.926 Å, c = 10.282 Å
α = 71.26°, β = 88.43°, γ = 88.42°
Space group P-1 (No. 2)
Asymmetric unit:
Ca  0.241  0.359  0.075 (multiplicity 2)
Ca  0.251  0.947  0.919 (multiplicity 2)
Nb  0.258  0.757  0.257 (multiplicity 2)
Nb  0.263  0.502  0.747 (multiplicity 2)
Sb  0.228  0.189  0.495 (multiplicity 2)
O  0.024  0.614  0.125 (multiplicity 2)
O  0.079  0.721  0.623 (multiplicity 2)
O  0.099  0.300  0.646 (multiplicity 2)
O  0.151  0.021  0.122 (multiplicity 2)
O  0.357  0.648  0.869 (multiplicity 2)
O  0.394  0.444  0.361 (multiplicity 2)
O  0.416  0.879  0.364 (multiplicity 2)
O  0.476  0.244  0.886 (multiplicity 2)

Values from the calculation:
Formation enthalpy at 0 K ... -2.84 eV per atom

***

Question: What is the formation enthalpy at 0 K in the fifth record?
Answer: -2.84 eV per atom

***

Question: The lowest formation enthalpy at 0 K belongs to which entry?
Answer: CaNb5P9O36